a:
## Li3MnFeCoP3O12 (PBE with a Hubbard U)

Data for crystalline Li3MnFeCoP3O12 at its relaxed geometry.

As for the total magnetization: 48.01 Bohr magnetons per cell.

```
data_Li3MnFeCoP3O12
_cell_length_a 10.4375
_cell_length_b 6.0778
_cell_length_c 14.2756
_cell_angle_alpha 90.00
_cell_angle_beta 90.01
_cell_angle_gamma 90.00
_space_group_name_H-M_alt 'P 1'
_space_group_IT_number 1
loop_
_space_group_symop_operation_xyz
'x,y,z'
loop_
_atom_site_label
_atom_site_fract_x
_atom_site_fract_y
_atom_site_fract_z
Li1 0.0000 0.2493 0.0000
Li2 0.0000 0.7507 0.0000
Li3 0.0008 0.2507 0.3326
Li4 0.0008 0.7493 0.3326
Li5 0.0038 0.2493 0.6663
Li6 0.0038 0.7507 0.6663
Li7 0.5049 0.2509 0.8332
Li8 0.5049 0.7491 0.8332
Li9 0.5064 0.2488 0.4997
Li10 0.5064 0.7512 0.4997
Li11 0.5082 0.2485 0.1654
Li12 0.5082 0.7515 0.1654
Mn1 0.2223 0.0000 0.1593
Mn2 0.2218 0.0000 0.4931
Mn3 0.2855 0.5000 0.3263
Mn4 0.2851 0.5000 0.9929
Fe1 0.2223 0.0000 0.8248
Fe2 0.2836 0.5000 0.6606
Fe3 0.7238 0.0000 0.6721
Fe4 0.7280 0.0000 0.3371
Co1 0.7268 0.0000 0.0052
Co2 0.7809 0.5000 0.1722
Co3 0.7809 0.5000 0.5072
Co4 0.7837 0.5000 0.8384
P1 0.0932 0.5000 0.1387
P2 0.0944 0.5000 0.4726
P3 0.0960 0.5000 0.8060
P4 0.4105 0.0000 0.6400
P5 0.4124 0.0000 0.9703
P6 0.4145 0.0000 0.3052
P7 0.6010 0.5000 0.6943
P8 0.6021 0.5000 0.0265
P9 0.6026 0.5000 0.3611
P10 0.9055 0.0000 0.1937
P11 0.9055 0.0000 0.5269
P12 0.9074 0.0000 0.8595
O1 0.0433 0.0000 0.2346
O2 0.0430 0.0000 0.5689
O3 0.0460 0.0000 0.9003
O4 0.0984 0.5000 0.2462
O5 0.1001 0.5000 0.9134
O6 0.1010 0.5000 0.5802
O7 0.1635 0.2976 0.0933
O8 0.1635 0.7024 0.0933
O9 0.1645 0.2979 0.4270
O10 0.1645 0.7021 0.4270
O11 0.1681 0.2981 0.7606
O12 0.1681 0.7019 0.7606
O13 0.3403 0.2030 0.5951
O14 0.3403 0.7970 0.5951
O15 0.3421 0.2025 0.9247
O16 0.3421 0.7975 0.9247
O17 0.3440 0.2019 0.2600
O18 0.3440 0.7981 0.2600
O19 0.4065 0.0000 0.0779
O20 0.4057 0.0000 0.7477
O21 0.4089 0.0000 0.4126
O22 0.4627 0.5000 0.7338
O23 0.4641 0.5000 0.0680
O24 0.4643 0.5000 0.4019
O25 0.5495 0.0000 0.5998
O26 0.5517 0.0000 0.9315
O27 0.5534 0.0000 0.2650
O28 0.6053 0.5000 0.2531
O29 0.6052 0.5000 0.5864
O30 0.6054 0.5000 0.9188
O31 0.6714 0.2970 0.7400
O32 0.6714 0.7030 0.7400
O33 0.6725 0.2956 0.0710
O34 0.6723 0.2961 0.4059
O35 0.6725 0.7044 0.0710
O36 0.6723 0.7039 0.4059
O37 0.8347 0.2033 0.5715
O38 0.8351 0.2036 0.2386
O39 0.8351 0.7964 0.2386
O40 0.8347 0.7967 0.5715
O41 0.8371 0.2038 0.9048
O42 0.8371 0.7962 0.9048
O43 0.9029 0.0000 0.0855
O44 0.9036 0.0000 0.4190
O45 0.9042 0.0000 0.7515
O46 0.9543 0.5000 0.0990
O47 0.9555 0.5000 0.4334
O48 0.9578 0.5000 0.7652
```


b:
## Li3MnFeCoP3O12 (PBE with a Hubbard U)

Data for crystalline Li3MnFeCoP3O12 at its relaxed geometry.

As for the total magnetization: 2.85 Bohr magnetons per cell.

```
data_Li3MnFeCoP3O12
_cell_length_a 10.4348
_cell_length_b 6.0824
_cell_length_c 14.3084
_cell_angle_alpha 90.00
_cell_angle_beta 90.03
_cell_angle_gamma 90.00
_space_group_name_H-M_alt 'P 1'
_space_group_IT_number 1
loop_
_space_group_symop_operation_xyz
'x,y,z'
loop_
_atom_site_label
_atom_site_fract_x
_atom_site_fract_y
_atom_site_fract_z
Li1 0.0000 0.2492 0.0000
Li2 0.0004 0.2501 0.6680
Li3 0.0004 0.7499 0.6680
Li4 0.0000 0.7508 0.0000
Li5 0.0011 0.2499 0.3337
Li6 0.0011 0.7501 0.3337
Li7 0.5048 0.2504 0.1672
Li8 0.5046 0.2500 0.5008
Li9 0.5054 0.2498 0.8343
Li10 0.5048 0.7496 0.1672
Li11 0.5046 0.7500 0.5008
Li12 0.5054 0.7502 0.8343
Mn1 0.2221 0.0000 0.1738
Mn2 0.2839 0.5000 0.0060
Mn3 0.2845 0.5000 0.3406
Mn4 0.2836 0.5000 0.6742
Fe1 0.2210 0.0000 0.5081
Fe2 0.2233 0.0000 0.8390
Fe3 0.7826 0.5000 0.1586
Fe4 0.7833 0.5000 0.4919
Co1 0.7214 0.0000 0.3283
Co2 0.7222 0.0000 0.9941
Co3 0.7226 0.0000 0.6626
Co4 0.7820 0.5000 0.8256
P1 0.0913 0.5000 0.8603
P2 0.0936 0.5000 0.1952
P3 0.0946 0.5000 0.5273
P4 0.4115 0.0000 0.3630
P5 0.4113 0.0000 0.6949
P6 0.4124 0.0000 0.0279
P7 0.5998 0.5000 0.3063
P8 0.6013 0.5000 0.9720
P9 0.6025 0.5000 0.6406
P10 0.9056 0.0000 0.1398
P11 0.9059 0.0000 0.8070
P12 0.9067 0.0000 0.4735
O1 0.0432 0.0000 0.0978
O2 0.0440 0.0000 0.7657
O3 0.0448 0.0000 0.4321
O4 0.0969 0.5000 0.0876
O5 0.0966 0.5000 0.4200
O6 0.0969 0.5000 0.7530
O7 0.1618 0.2967 0.9053
O8 0.1618 0.7033 0.9053
O9 0.1644 0.2976 0.2398
O10 0.1644 0.7024 0.2398
O11 0.1666 0.2967 0.5710
O12 0.1666 0.7033 0.5710
O13 0.3402 0.2009 0.7410
O14 0.3402 0.7991 0.7410
O15 0.3412 0.2020 0.4083
O16 0.3412 0.7980 0.4083
O17 0.3424 0.2025 0.0731
O18 0.3424 0.7975 0.0731
O19 0.4062 0.0000 0.5877
O20 0.4073 0.0000 0.9205
O21 0.4078 0.0000 0.2556
O22 0.4623 0.5000 0.2636
O23 0.4635 0.5000 0.9295
O24 0.4635 0.5000 0.6005
O25 0.5503 0.0000 0.4031
O26 0.5496 0.0000 0.7351
O27 0.5509 0.0000 0.0683
O28 0.6003 0.5000 0.0796
O29 0.5996 0.5000 0.4138
O30 0.6067 0.5000 0.7487
O31 0.6704 0.2954 0.2625
O32 0.6704 0.7046 0.2625
O33 0.6709 0.2951 0.5957
O34 0.6709 0.7049 0.5957
O35 0.6722 0.2958 0.9282
O36 0.6722 0.7042 0.9282
O37 0.8348 0.2025 0.0948
O38 0.8352 0.2032 0.7617
O39 0.8348 0.7975 0.0948
O40 0.8352 0.7968 0.7617
O41 0.8360 0.2024 0.4280
O42 0.8360 0.7976 0.4280
O43 0.9034 0.0000 0.2472
O44 0.9035 0.0000 0.5808
O45 0.9033 0.0000 0.9145
O46 0.9519 0.5000 0.9000
O47 0.9560 0.5000 0.2365
O48 0.9578 0.5000 0.5699
```


c:
## Li3MnFeCoP3O12 (PBE with a Hubbard U)

Data for crystalline Li3MnFeCoP3O12 at its relaxed geometry.

As for the total magnetization: 48.00 Bohr magnetons per cell.

```
data_Li3MnFeCoP3O12
_cell_length_a 10.4446
_cell_length_b 6.0992
_cell_length_c 14.3095
_cell_angle_alpha 90.00
_cell_angle_beta 90.10
_cell_angle_gamma 90.00
_space_group_name_H-M_alt 'P 1'
_space_group_IT_number 1
loop_
_space_group_symop_operation_xyz
'x,y,z'
loop_
_atom_site_label
_atom_site_fract_x
_atom_site_fract_y
_atom_site_fract_z
Li1 0.0000 0.2493 0.0000
Li2 0.0000 0.7507 0.0000
Li3 0.0015 0.2505 0.3325
Li4 0.0015 0.7495 0.3325
Li5 0.0021 0.2505 0.6663
Li6 0.0021 0.7495 0.6663
Li7 0.5035 0.2503 0.4999
Li8 0.5045 0.2515 0.8337
Li9 0.5045 0.7485 0.8337
Li10 0.5035 0.7497 0.4999
Li11 0.5065 0.2503 0.1655
Li12 0.5065 0.7497 0.1655
Mn1 0.2216 0.5000 0.1732
Mn2 0.2848 0.0000 0.0073
Mn3 0.2849 0.0000 0.3401
Mn4 0.7839 0.0000 0.8257
Fe1 0.2212 0.5000 0.5080
Fe2 0.2213 0.5000 0.8403
Fe3 0.2851 0.0000 0.6745
Fe4 0.7840 0.0000 0.4918
Co1 0.7215 0.5000 0.6598
Co2 0.7248 0.5000 0.3284
Co3 0.7254 0.5000 0.9927
Co4 0.7796 0.0000 0.1622
P1 0.0924 0.0000 0.1937
P2 0.0965 0.0000 0.5273
P3 0.0978 0.0000 0.8594
P4 0.4090 0.5000 0.6933
P5 0.4118 0.5000 0.0268
P6 0.4116 0.5000 0.3617
P7 0.5978 0.0000 0.6387
P8 0.5988 0.0000 0.9739
P9 0.6004 0.0000 0.3048
P10 0.9053 0.5000 0.1384
P11 0.9078 0.5000 0.4728
P12 0.9087 0.5000 0.8051
O1 0.0434 0.5000 0.0971
O2 0.0454 0.5000 0.4313
O3 0.0473 0.5000 0.7653
O4 0.0974 0.0000 0.0864
O5 0.0987 0.0000 0.4200
O6 0.0994 0.0000 0.7518
O7 0.1629 0.2013 0.2387
O8 0.1629 0.7987 0.2387
O9 0.1679 0.2027 0.5713
O10 0.1679 0.7973 0.5713
O11 0.1685 0.2029 0.9034
O12 0.1685 0.7971 0.9034
O13 0.3384 0.2975 0.7381
O14 0.3384 0.7025 0.7381
O15 0.3412 0.2988 0.4070
O16 0.3412 0.7012 0.4070
O17 0.3417 0.2986 0.0722
O18 0.3417 0.7014 0.0722
O19 0.4056 0.5000 0.5859
O20 0.4060 0.5000 0.9191
O21 0.4069 0.5000 0.2545
O22 0.4601 0.0000 0.5967
O23 0.4625 0.0000 0.2636
O24 0.4617 0.0000 0.9308
O25 0.5475 0.5000 0.7338
O26 0.5501 0.5000 0.0667
O27 0.5509 0.5000 0.4012
O28 0.5991 0.0000 0.7461
O29 0.6011 0.0000 0.0815
O30 0.6016 0.0000 0.4125
O31 0.6685 0.2039 0.5948
O32 0.6684 0.2041 0.9305
O33 0.6685 0.7961 0.5948
O34 0.6684 0.7959 0.9305
O35 0.6712 0.2029 0.2598
O36 0.6712 0.7971 0.2598
O37 0.8354 0.2974 0.0934
O38 0.8354 0.7026 0.0934
O39 0.8363 0.2983 0.4277
O40 0.8363 0.7017 0.4277
O41 0.8386 0.2998 0.7590
O42 0.8386 0.7002 0.7590
O43 0.9031 0.5000 0.2464
O44 0.9042 0.5000 0.5802
O45 0.9038 0.5000 0.9125
O46 0.9539 0.0000 0.2341
O47 0.9591 0.0000 0.5691
O48 0.9609 0.0000 0.9016
```


Question: which arrangement is favored energetically? Ranking from most to least stable: c, a, b.


a:
## Li2FeCoO4 (PBE with a Hubbard U)

Data for crystalline Li2FeCoO4 at its relaxed geometry.

As for the total magnetization: 8.99 Bohr magnetons per cell.

```
data_Li2FeCoO4
_cell_length_a 5.1079
_cell_length_b 2.9558
_cell_length_c 5.1850
_cell_angle_alpha 90.00
_cell_angle_beta 109.69
_cell_angle_gamma 90.00
_space_group_name_H-M_alt 'P 1'
_space_group_IT_number 1
loop_
_space_group_symop_operation_xyz
'x,y,z'
loop_
_atom_site_label
_atom_site_fract_x
_atom_site_fract_y
_atom_site_fract_z
Li1 0.0000 0.0000 0.0000
Li2 0.5000 0.5000 0.0000
Fe1 0.0000 0.5000 0.5000
Co1 0.5000 0.0000 0.5000
O1 0.2427 0.0000 0.7316
O2 0.2614 0.5000 0.2728
O3 0.7386 0.5000 0.7272
O4 0.7573 0.0000 0.2684
```


b:
## Li2FeCoO4 (PBE with a Hubbard U)

Data for crystalline Li2FeCoO4 at its relaxed geometry.

As for the total magnetization: 7.00 Bohr magnetons per cell.

```
data_Li2FeCoO4
_cell_length_a 5.1859
_cell_length_b 5.1859
_cell_length_c 5.1859
_cell_angle_alpha 133.67
_cell_angle_beta 133.67
_cell_angle_gamma 67.60
_space_group_name_H-M_alt 'P 1'
_space_group_IT_number 1
loop_
_space_group_symop_operation_xyz
'x,y,z'
loop_
_atom_site_label
_atom_site_fract_x
_atom_site_fract_y
_atom_site_fract_z
Li1 0.0000 0.0000 0.0000
Li2 0.7500 0.2500 0.5000
Fe1 0.5000 0.5000 0.0000
Co1 0.2500 0.7500 0.5000
O1 0.0235 0.5235 0.5000
O2 0.2654 0.2654 0.0000
O3 0.4765 0.9765 0.5000
O4 0.7346 0.7346 0.0000
```


c:
## Li2FeCoO4 (PBE with a Hubbard U)

Data for crystalline Li2FeCoO4 at its relaxed geometry.

As for the total magnetization: 9.00 Bohr magnetons per cell.

```
data_Li2FeCoO4
_cell_length_a 9.6048
_cell_length_b 9.6048
_cell_length_c 9.6048
_cell_angle_alpha 17.21
_cell_angle_beta 17.21
_cell_angle_gamma 17.21
_space_group_name_H-M_alt 'P 1'
_space_group_IT_number 1
loop_
_space_group_symop_operation_xyz
'x,y,z'
loop_
_atom_site_label
_atom_site_fract_x
_atom_site_fract_y
_atom_site_fract_z
Li1 0.2492 0.2492 0.2492
Li2 0.7508 0.7508 0.7508
Fe1 0.0000 0.0000 0.0000
Co1 0.5000 0.5000 0.5000
O1 0.1307 0.1307 0.1307
O2 0.3711 0.3711 0.3711
O3 0.6289 0.6289 0.6289
O4 0.8693 0.8693 0.8693
```


d:
## Li2FeCoO4 (PBE with a Hubbard U)

Data for crystalline Li2FeCoO4 at its relaxed geometry.

As for the total magnetization: 18.00 Bohr magnetons per cell.

```
data_Li2FeCoO4
_cell_length_a 5.7590
_cell_length_b 5.7590
_cell_length_c 5.7979
_cell_angle_alpha 119.31
_cell_angle_beta 119.31
_cell_angle_gamma 90.12
_space_group_name_H-M_alt 'P 1'
_space_group_IT_number 1
loop_
_space_group_symop_operation_xyz
'x,y,z'
loop_
_atom_site_label
_atom_site_fract_x
_atom_site_fract_y
_atom_site_fract_z
Li1 0.0000 0.0000 0.0000
Li2 0.0000 0.0000 0.5000
Li3 0.0000 0.5000 0.0000
Li4 0.5000 0.0000 0.5000
Fe1 0.0000 0.5000 0.5000
Fe2 0.5000 0.0000 0.0000
Co1 0.5000 0.5000 0.0000
Co2 0.5000 0.5000 0.5000
O1 0.2479 0.7257 0.4971
O2 0.2684 0.2822 0.5318
O3 0.2743 0.7521 0.0029
O4 0.2822 0.2684 0.0318
O5 0.7178 0.7316 0.9682
O6 0.7257 0.2479 0.9971
O7 0.7316 0.7178 0.4682
O8 0.7521 0.2743 0.5029
```


Question: which arrangement is favored energetically? Ranking from most to least stable: a, b, d, c.


a:
## Li4Fe3CoO8 (PBE with a Hubbard U)

Data for crystalline Li4Fe3CoO8 at its relaxed geometry.

As for the total magnetization: 19.00 Bohr magnetons per cell.

```
data_Li4Fe3CoO8
_cell_length_a 5.0963
_cell_length_b 5.5954
_cell_length_c 6.4971
_cell_angle_alpha 90.25
_cell_angle_beta 90.16
_cell_angle_gamma 90.26
_space_group_name_H-M_alt 'P 1'
_space_group_IT_number 1
loop_
_space_group_symop_operation_xyz
'x,y,z'
loop_
_atom_site_label
_atom_site_fract_x
_atom_site_fract_y
_atom_site_fract_z
Li1 0.0000 0.0000 0.0000
Li2 0.0013 0.4997 0.7493
Li3 0.4984 0.1638 0.2496
Li4 0.5003 0.6667 0.5018
Fe1 0.0044 0.5004 0.2533
Fe2 0.4988 0.1648 0.7485
Fe3 0.5028 0.6666 0.9986
Co1 0.0002 0.9982 0.4971
O1 0.3726 0.0063 0.5065
O2 0.3803 0.5090 0.2406
O3 0.3955 0.4927 0.7590
O4 0.3955 0.9928 0.9891
O5 0.8761 0.1558 0.7359
O6 0.8793 0.6551 0.0112
O7 0.8947 0.1729 0.2648
O8 0.9004 0.6759 0.4941
```


b:
## Li4Fe3CoO8 (PBE with a Hubbard U)

Data for crystalline Li4Fe3CoO8 at its relaxed geometry.

As for the total magnetization: 30.00 Bohr magnetons per cell.

```
data_Li4Fe3CoO8
_cell_length_a 5.9078
_cell_length_b 5.9558
_cell_length_c 10.3129
_cell_angle_alpha 73.95
_cell_angle_beta 73.54
_cell_angle_gamma 60.31
_space_group_name_H-M_alt 'P 1'
_space_group_IT_number 1
loop_
_space_group_symop_operation_xyz
'x,y,z'
loop_
_atom_site_label
_atom_site_fract_x
_atom_site_fract_y
_atom_site_fract_z
Li1 0.0000 0.0000 0.0000
Li2 0.9996 0.4945 0.0010
Li3 0.0014 0.4966 0.4986
Li4 0.4874 0.0051 0.0035
Li5 0.4894 0.5013 0.5022
Li6 0.4900 0.0064 0.5012
Li7 0.4954 0.5006 0.9989
Li8 0.9938 0.0006 0.5033
Fe1 0.2441 0.2509 0.7511
Fe2 0.2447 0.2507 0.2512
Fe3 0.2447 0.7505 0.2510
Fe4 0.7445 0.7504 0.2511
Fe5 0.7439 0.7515 0.7509
Fe6 0.7449 0.2509 0.7511
Co1 0.2447 0.7505 0.7512
Co2 0.7450 0.2501 0.2512
O1 0.1057 0.1429 0.6325
O2 0.1162 0.6178 0.1370
O3 0.1215 0.1180 0.1361
O4 0.1208 0.6255 0.6397
O5 0.3680 0.3836 0.3663
O6 0.3682 0.8763 0.8623
O7 0.3730 0.8835 0.3653
O8 0.3836 0.3585 0.8694
O9 0.5973 0.6279 0.6411
O10 0.6148 0.6264 0.1351
O11 0.6188 0.1175 0.6364
O12 0.6231 0.1246 0.1395
O13 0.8660 0.3766 0.3627
O14 0.8704 0.3842 0.8659
O15 0.8745 0.8746 0.3668
O16 0.8921 0.8734 0.8611
```


Question: which arrangement is favored energetically? Ranking from most to least stable: b, a.